A plane-wave DFT calculation with PBE was carried out for an optimized crystal structure of Pr5S9.

```
Pr5S9
1.0
11.908 -2.787 0.000
11.908 2.787 0.000
-1.426 0.000 9.906
Pr S
10 18
Direct
0.007 0.007 0.235 Pr
0.188 0.220 0.631 Pr
0.198 0.201 0.152 Pr
0.392 0.398 0.572 Pr
0.415 0.395 0.041 Pr
0.602 0.608 0.428 Pr
0.605 0.585 0.959 Pr
0.780 0.812 0.369 Pr
0.799 0.802 0.848 Pr
0.993 0.993 0.765 Pr
0.056 0.566 0.124 S
0.083 0.070 0.012 S
0.125 0.126 0.374 S
0.249 0.751 0.500 S
0.264 0.295 0.423 S
0.321 0.323 0.787 S
0.434 0.944 0.876 S
0.476 0.477 0.821 S
0.523 0.524 0.179 S
0.556 0.055 0.112 S
0.662 0.163 0.327 S
0.677 0.679 0.213 S
0.705 0.736 0.577 S
0.749 0.251 0.500 S
0.837 0.338 0.673 S
0.874 0.875 0.626 S
0.930 0.917 0.988 S
0.945 0.444 0.888 S
```

E (MP2020)   -6.47 eV/atom
E_form   -202.93 kJ per mole of atoms
Total magnetic moment   0.3 μB per formula unit
E   -6.147 eV per atom